# 1
VASP calculation (PBE) on K3IO5 after structural relaxation.

Results
E (MP2020) (eV/cell): -86.48
DFT formation energy (meV per atom): -1516
Space group: P4/nmm, No. 129

```
K3IO5
1.0
-5.2739 2.6542 -2.2533
-3.0560 -1.5693 5.3042
2.2007 7.2770 3.4209
K I O
6 2 10
Direct
0.0000 0.0000 0.5000
0.5000 0.5000 0.5000
0.0000 0.0000 0.0000
0.5000 0.5000 0.0000
0.0000 0.5000 0.2184
0.5000 0.0000 0.7816
0.0000 0.5000 0.7425
0.5000 0.0000 0.2575
0.7943 0.2943 0.7886
0.2057 0.7057 0.7886
0.2943 0.2057 0.2114
0.7057 0.7943 0.2114
0.7057 0.2057 0.2114
0.2943 0.7943 0.2114
0.7943 0.7057 0.7886
0.2057 0.2943 0.7886
0.0000 0.5000 0.5238
0.5000 0.0000 0.4762
```

***

# 2
VASP calculation (PBE) on CsAg2AsS3 after structural relaxation.

Results
E (MP2020) (eV/cell): -112.93
DFT formation energy (meV per atom): -658
Space group: P2_1/c, No. 14

```
CsAg2AsS3
1.0
-5.5601 -5.0359 4.0432
7.1938 -5.6666 2.8348
3.4366 3.4441 9.0156
Cs Ag As S
4 8 4 12
Direct
0.9345 0.2469 0.0840
0.4345 0.2531 0.9160
0.0655 0.7531 0.9160
0.5655 0.7469 0.0840
0.7599 0.9336 0.4445
0.2599 0.5664 0.5555
0.2401 0.0664 0.5555
0.7401 0.4336 0.4445
0.9743 0.2168 0.6734
0.4743 0.2832 0.3266
0.0257 0.7832 0.3266
0.5257 0.7168 0.6734
0.1382 0.4441 0.3484
0.6382 0.0559 0.6516
0.8618 0.5559 0.6516
0.3618 0.9441 0.3484
0.0211 0.2133 0.4324
0.5211 0.2867 0.5676
0.9789 0.7867 0.5676
0.4789 0.7133 0.4324
0.7762 0.0618 0.8367
0.2762 0.4382 0.1633
0.2238 0.9382 0.1633
0.7238 0.5618 0.8367
0.9113 0.5688 0.2535
0.4113 0.9312 0.7465
0.0887 0.4312 0.7465
0.5887 0.0688 0.2535
```

***

# 3
VASP calculation (PBE) on KSrCeNbO6 after structural relaxation.

Results
ΔE to the lowest computed polymorph (eV per atom): 0.0000
E (MP2020) (eV/cell): -322.88
DFT formation energy (meV per atom): -3220
Space group: Pnnn, No. 48

```
KSrCeNbO6
1.0
-2.9783 7.8430 1.1412
-3.0721 -0.0135 -7.9248
-7.3248 -3.1955 2.8449
K Sr Ce Nb O
4 4 4 4 24
Direct
0.5000 0.0000 0.5000
0.5000 0.5000 0.0000
0.0000 0.5000 0.0000
0.0000 0.0000 0.5000
0.0000 0.5000 0.5000
0.5000 0.0000 0.0000
0.0000 0.0000 0.0000
0.5000 0.5000 0.5000
0.7500 0.7500 0.7500
0.2500 0.2500 0.7500
0.2500 0.7500 0.2500
0.7500 0.2500 0.2500
0.2500 0.2500 0.2500
0.7500 0.7500 0.2500
0.7500 0.2500 0.7500
0.2500 0.7500 0.7500
0.0133 0.2366 0.2623
0.9867 0.7634 0.2623
0.9867 0.2366 0.7377
0.0133 0.7634 0.7377
0.2636 0.0130 0.2235
0.2636 0.9870 0.7765
0.7364 0.9870 0.2235
0.7364 0.0130 0.7765
0.2353 0.2532 0.0129
0.7647 0.2532 0.9871
0.2353 0.7468 0.9871
0.7647 0.7468 0.0129
0.4867 0.2634 0.2377
0.5133 0.7366 0.2377
0.5133 0.2634 0.7623
0.4867 0.7366 0.7623
0.2364 0.4870 0.2765
0.2364 0.5130 0.7235
0.7636 0.5130 0.2765
0.7636 0.4870 0.7235
0.2647 0.2468 0.4871
0.7353 0.2468 0.5129
0.2647 0.7532 0.5129
0.7353 0.7532 0.4871
```

***

# 4
VASP calculation (PBE) on K2NaMoCl6 after structural relaxation.

Results
E (MP2020) (eV/cell): -43.97
DFT formation energy (meV per atom): -1849
Space group: Fm-3m, No. 225

```
K2NaMoCl6
1.0
5.5284 2.1384 4.3237
-1.4131 3.1559 6.4710
1.3966 -3.6174 6.2285
K Na Mo Cl
2 1 1 6
Direct
0.7500 0.7500 0.7500
0.2500 0.2500 0.2500
0.5000 0.5000 0.5000
0.0000 0.0000 0.0000
0.7633 0.2367 0.2367
0.2367 0.2367 0.7633
0.2367 0.7633 0.7633
0.2367 0.7633 0.2367
0.7633 0.2367 0.7633
0.7633 0.7633 0.2367
```

***

# 5
VASP calculation (PBE) on Ir after structural relaxation.

Results
ΔE to the lowest computed polymorph (eV per atom): 0.0629
DFT formation energy (meV per atom): 63
Space group: P6_3/mmc, No. 194

```
Ir
1.0
2.7514 0.0000 0.0000
-1.3757 2.3828 0.0000
0.0000 0.0000 4.4623
Ir
2
Direct
0.0000 0.0000 0.0000
0.6667 0.3333 0.5000
```

***

# 6
VASP calculation (PBE) on GaGe3Rh4 after structural relaxation.

Results
DFT formation energy (meV per atom): -545
Space group: R3, No. 146

```
GaGe3Rh4
1.0
-0.9891 -4.7830 0.5344
3.9306 -0.4281 2.9168
-2.8494 0.9644 3.8848
Ga Ge Rh
1 3 4
Direct
0.1596 0.3404 0.6596
0.3347 0.6581 0.1611
0.6611 0.1653 0.3419
0.8419 0.8389 0.8347
0.8623 0.6377 0.3623
0.6365 0.3652 0.8691
0.3691 0.8635 0.6348
0.1348 0.1309 0.1365
```

***

Let's list volume in order: 332.9; 794.8; 610.4; 279.3; 29.3; 118.6 Å³/cell.